(1)
VASP calculation (GGA-PBE) on an optimized crystal structure of Tm9B5S21.

```
Tm9B5S21
1.0
0.455 5.356 9.689
-2.687 -9.697 4.639
10.854 -2.222 -0.128
S B Tm
42 10 18
Direct
0.141 0.684 0.568
0.688 0.594 0.818
0.011 0.905 0.479
0.820 0.346 0.229
0.818 0.688 0.594
0.353 0.250 0.508
0.886 0.993 0.734
0.421 0.525 0.950
0.862 0.289 0.746
0.229 0.820 0.346
0.413 0.545 0.636
0.213 0.305 0.081
0.594 0.818 0.688
0.309 0.972 0.656
0.636 0.413 0.545
0.525 0.950 0.421
0.746 0.862 0.289
0.157 0.473 0.807
0.081 0.213 0.305
0.149 0.018 0.926
0.289 0.746 0.862
0.305 0.081 0.213
0.656 0.309 0.972
0.950 0.421 0.525
0.734 0.886 0.993
0.473 0.807 0.157
0.018 0.926 0.149
0.684 0.568 0.141
0.346 0.229 0.820
0.993 0.734 0.886
0.479 0.011 0.905
0.807 0.157 0.473
0.926 0.149 0.018
0.250 0.508 0.353
0.508 0.353 0.250
0.200 0.610 0.080
0.905 0.479 0.011
0.545 0.636 0.413
0.568 0.141 0.684
0.080 0.200 0.610
0.610 0.080 0.200
0.972 0.656 0.309
0.195 0.195 0.195
0.085 0.760 0.422
0.422 0.085 0.760
0.920 0.261 0.586
0.586 0.920 0.261
0.261 0.586 0.920
0.522 0.522 0.522
0.021 0.021 0.021
0.760 0.422 0.085
0.695 0.695 0.695
0.080 0.866 0.722
0.198 0.416 0.555
0.376 0.766 0.533
0.533 0.376 0.766
0.532 0.761 0.923
0.766 0.533 0.376
0.555 0.198 0.416
0.722 0.080 0.866
0.866 0.722 0.080
0.923 0.532 0.761
0.084 0.240 0.850
0.057 0.447 0.212
0.212 0.057 0.447
0.416 0.555 0.198
0.850 0.084 0.240
0.761 0.923 0.532
0.240 0.850 0.084
0.447 0.212 0.057
```

## Properties
Size of the total moment ... 0.00 Bohr magnetons per cell
Uncorrected energy ... -6.019 eV/atom

***

(2)
VASP calculation (GGA-PBE) on an optimized crystal structure of Sb4NF13.

```
Sb4NF13
1.0
6.023 4.866 -0.343
-3.444 -3.880 5.759
3.102 -6.005 -3.795
N F Sb
1 13 4
Direct
0.500 0.500 0.000
0.973 0.885 0.315
0.430 0.342 0.315
0.109 0.573 0.682
0.885 0.570 0.911
0.573 0.891 0.464
0.000 0.000 0.000
0.658 0.973 0.089
0.570 0.658 0.685
0.115 0.430 0.089
0.342 0.027 0.911
0.427 0.109 0.536
0.891 0.427 0.318
0.027 0.115 0.685
0.733 0.004 0.737
0.996 0.733 0.729
0.004 0.267 0.271
0.267 0.996 0.263
```

## Properties
Size of the total moment ... 2.00 Bohr magnetons per cell
Uncorrected energy ... -4.476 eV/atom

***

(3)
VASP calculation (GGA-PBE) on an optimized crystal structure of ScGeRh2.

```
ScGeRh2
1.0
0.000 3.130 3.130
3.130 0.000 3.130
3.130 3.130 0.000
Rh Sc Ge
2 1 1
Direct
0.250 0.250 0.250
0.750 0.750 0.750
0.500 0.500 0.500
0.000 0.000 0.000
```

## Properties
Uncorrected energy ... -7.261 eV/atom

***

(4)
VASP calculation (GGA-PBE) on an optimized crystal structure of Al2Si2H8N2O9.

```
Al2Si2H8N2O9
1.0
-8.206 2.954 4.208
-5.118 -6.395 -5.491
1.142 -7.116 7.223
H Al O Si N
32 8 36 8 8
Direct
0.512 0.957 0.925
0.421 0.494 0.722
0.805 0.126 0.640
0.192 0.253 0.396
0.193 0.765 0.767
0.579 0.994 0.778
0.582 0.556 0.672
0.807 0.265 0.733
0.488 0.457 0.575
0.305 0.374 0.360
0.695 0.874 0.140
0.069 0.385 0.104
0.569 0.115 0.896
0.918 0.444 0.172
0.012 0.543 0.075
0.195 0.626 0.860
0.079 0.506 0.222
0.366 0.227 0.424
0.988 0.043 0.425
0.634 0.727 0.076
0.308 0.747 0.896
0.307 0.235 0.267
0.931 0.885 0.396
0.693 0.735 0.233
0.082 0.944 0.328
0.866 0.273 0.576
0.134 0.773 0.924
0.418 0.056 0.828
0.431 0.615 0.604
0.921 0.006 0.278
0.692 0.247 0.604
0.808 0.753 0.104
0.826 0.622 0.481
0.134 0.397 0.714
0.174 0.122 0.019
0.366 0.603 0.214
0.634 0.103 0.286
0.866 0.897 0.786
0.674 0.378 0.981
0.326 0.878 0.519
0.528 0.218 0.521
0.747 0.215 0.952
0.753 0.785 0.452
0.740 0.506 0.883
0.001 0.651 0.451
0.606 0.275 0.319
0.240 0.994 0.117
0.281 0.928 0.360
0.253 0.715 0.548
0.777 0.071 0.180
0.173 0.464 0.556
0.999 0.151 0.049
0.260 0.006 0.617
0.972 0.782 0.021
0.894 0.725 0.819
0.472 0.718 0.979
0.223 0.571 0.320
0.827 0.964 0.944
0.006 0.976 0.712
0.781 0.572 0.640
0.106 0.225 0.681
0.394 0.775 0.181
0.719 0.428 0.140
0.327 0.536 0.056
0.219 0.072 0.860
0.277 0.429 0.820
0.506 0.524 0.288
0.494 0.024 0.212
0.028 0.282 0.479
0.499 0.349 0.951
0.723 0.929 0.680
0.501 0.849 0.549
0.760 0.494 0.383
0.247 0.285 0.048
0.673 0.036 0.444
0.994 0.476 0.788
0.147 0.067 0.716
0.647 0.433 0.284
0.160 0.604 0.468
0.840 0.104 0.032
0.340 0.396 0.968
0.853 0.567 0.784
0.353 0.933 0.216
0.660 0.896 0.532
0.292 0.270 0.361
0.708 0.770 0.139
0.792 0.230 0.639
0.982 0.968 0.355
0.018 0.468 0.145
0.482 0.532 0.645
0.518 0.032 0.855
0.208 0.730 0.861
```

## Properties
Size of the total moment ... 8.00 Bohr magnetons per cell
Uncorrected energy ... -6.206 eV/atom

***

What did the first record say?
VASP calculation (GGA-PBE) on an optimized crystal structure of Tm9B5S21.

```
Tm9B5S21
1.0
0.455 5.356 9.689
-2.687 -9.697 4.639
10.854 -2.222 -0.128
S B Tm
42 10 18
Direct
0.141 0.684 0.568
0.688 0.594 0.818
0.011 0.905 0.479
0.820 0.346 0.229
0.818 0.688 0.594
0.353 0.250 0.508
0.886 0.993 0.734
0.421 0.525 0.950
0.862 0.289 0.746
0.229 0.820 0.346
0.413 0.545 0.636
0.213 0.305 0.081
0.594 0.818 0.688
0.309 0.972 0.656
0.636 0.413 0.545
0.525 0.950 0.421
0.746 0.862 0.289
0.157 0.473 0.807
0.081 0.213 0.305
0.149 0.018 0.926
0.289 0.746 0.862
0.305 0.081 0.213
0.656 0.309 0.972
0.950 0.421 0.525
0.734 0.886 0.993
0.473 0.807 0.157
0.018 0.926 0.149
0.684 0.568 0.141
0.346 0.229 0.820
0.993 0.734 0.886
0.479 0.011 0.905
0.807 0.157 0.473
0.926 0.149 0.018
0.250 0.508 0.353
0.508 0.353 0.250
0.200 0.610 0.080
0.905 0.479 0.011
0.545 0.636 0.413
0.568 0.141 0.684
0.080 0.200 0.610
0.610 0.080 0.200
0.972 0.656 0.309
0.195 0.195 0.195
0.085 0.760 0.422
0.422 0.085 0.760
0.920 0.261 0.586
0.586 0.920 0.261
0.261 0.586 0.920
0.522 0.522 0.522
0.021 0.021 0.021
0.760 0.422 0.085
0.695 0.695 0.695
0.080 0.866 0.722
0.198 0.416 0.555
0.376 0.766 0.533
0.533 0.376 0.766
0.532 0.761 0.923
0.766 0.533 0.376
0.555 0.198 0.416
0.722 0.080 0.866
0.866 0.722 0.080
0.923 0.532 0.761
0.084 0.240 0.850
0.057 0.447 0.212
0.212 0.057 0.447
0.416 0.555 0.198
0.850 0.084 0.240
0.761 0.923 0.532
0.240 0.850 0.084
0.447 0.212 0.057
```

## Properties
Size of the total moment ... 0.00 Bohr magnetons per cell
Uncorrected energy ... -6.019 eV/atom

***

Please write out number 4 again, unchanged.
VASP calculation (GGA-PBE) on an optimized crystal structure of Al2Si2H8N2O9.

```
Al2Si2H8N2O9
1.0
-8.206 2.954 4.208
-5.118 -6.395 -5.491
1.142 -7.116 7.223
H Al O Si N
32 8 36 8 8
Direct
0.512 0.957 0.925
0.421 0.494 0.722
0.805 0.126 0.640
0.192 0.253 0.396
0.193 0.765 0.767
0.579 0.994 0.778
0.582 0.556 0.672
0.807 0.265 0.733
0.488 0.457 0.575
0.305 0.374 0.360
0.695 0.874 0.140
0.069 0.385 0.104
0.569 0.115 0.896
0.918 0.444 0.172
0.012 0.543 0.075
0.195 0.626 0.860
0.079 0.506 0.222
0.366 0.227 0.424
0.988 0.043 0.425
0.634 0.727 0.076
0.308 0.747 0.896
0.307 0.235 0.267
0.931 0.885 0.396
0.693 0.735 0.233
0.082 0.944 0.328
0.866 0.273 0.576
0.134 0.773 0.924
0.418 0.056 0.828
0.431 0.615 0.604
0.921 0.006 0.278
0.692 0.247 0.604
0.808 0.753 0.104
0.826 0.622 0.481
0.134 0.397 0.714
0.174 0.122 0.019
0.366 0.603 0.214
0.634 0.103 0.286
0.866 0.897 0.786
0.674 0.378 0.981
0.326 0.878 0.519
0.528 0.218 0.521
0.747 0.215 0.952
0.753 0.785 0.452
0.740 0.506 0.883
0.001 0.651 0.451
0.606 0.275 0.319
0.240 0.994 0.117
0.281 0.928 0.360
0.253 0.715 0.548
0.777 0.071 0.180
0.173 0.464 0.556
0.999 0.151 0.049
0.260 0.006 0.617
0.972 0.782 0.021
0.894 0.725 0.819
0.472 0.718 0.979
0.223 0.571 0.320
0.827 0.964 0.944
0.006 0.976 0.712
0.781 0.572 0.640
0.106 0.225 0.681
0.394 0.775 0.181
0.719 0.428 0.140
0.327 0.536 0.056
0.219 0.072 0.860
0.277 0.429 0.820
0.506 0.524 0.288
0.494 0.024 0.212
0.028 0.282 0.479
0.499 0.349 0.951
0.723 0.929 0.680
0.501 0.849 0.549
0.760 0.494 0.383
0.247 0.285 0.048
0.673 0.036 0.444
0.994 0.476 0.788
0.147 0.067 0.716
0.647 0.433 0.284
0.160 0.604 0.468
0.840 0.104 0.032
0.340 0.396 0.968
0.853 0.567 0.784
0.353 0.933 0.216
0.660 0.896 0.532
0.292 0.270 0.361
0.708 0.770 0.139
0.792 0.230 0.639
0.982 0.968 0.355
0.018 0.468 0.145
0.482 0.532 0.645
0.518 0.032 0.855
0.208 0.730 0.861
```

## Properties
Size of the total moment ... 8.00 Bohr magnetons per cell
Uncorrected energy ... -6.206 eV/atom